a:
Crystalline KOs2O6 at its relaxed geometry. Source: Materials Project, functional PBE.

Summary:
As for the space-group type: P-1 (2).

abc: 5.686 6.523 7.356
angles: 65.48 70.50 75.77
Fractional positions:
K1 0.807 0.299 0.110
K2 0.193 0.701 0.890
Os1 0.815 0.643 0.547
Os2 0.185 0.357 0.453
Os3 0.367 0.912 0.237
Os4 0.633 0.088 0.763
O1 0.303 0.039 0.963
O2 0.015 0.890 0.374
O3 0.301 0.217 0.239
O4 0.901 0.520 0.326
O5 0.376 0.608 0.261
O6 0.515 0.811 0.459
O7 0.485 0.189 0.541
O8 0.624 0.392 0.739
O9 0.697 0.961 0.037
O10 0.985 0.110 0.626
O11 0.699 0.783 0.761
O12 0.099 0.480 0.674

b:
Crystalline KOs2O6 at its relaxed geometry. Source: Materials Project, functional PBE.

Summary:
As for the space-group type: R3m (160).

abc: 7.229 7.229 7.229
angles: 59.89 59.89 59.89
Fractional positions:
K1 0.733 0.733 0.733
K2 0.499 0.499 0.499
Os1 0.124 0.124 0.625
Os2 0.625 0.124 0.124
Os3 0.124 0.625 0.124
Os4 0.124 0.124 0.124
O1 0.191 0.810 0.810
O2 0.810 0.191 0.810
O3 0.810 0.810 0.191
O4 0.192 0.192 0.808
O5 0.058 0.442 0.442
O6 0.442 0.058 0.442
O7 0.808 0.192 0.192
O8 0.192 0.808 0.192
O9 0.060 0.060 0.439
O10 0.442 0.442 0.058
O11 0.439 0.060 0.060
O12 0.060 0.439 0.060

Short version: b is the least stable of them.

a:
Crystalline LiCuPO4 at its relaxed geometry. Source: Materials Project, functional PBE.

Summary:
The value obtained for the total magnetization is 4.001 μB/cell. As for the space-group type: Pna2_1 (33).

abc: 5.843 5.989 9.925
angles: 90.00 90.00 90.00
Fractional positions:
Li1 0.364 0.925 0.053
Li2 0.864 0.425 0.447
Li3 0.136 0.925 0.553
Li4 0.636 0.425 0.947
Cu1 0.881 0.930 0.121
Cu2 0.381 0.430 0.379
Cu3 0.619 0.930 0.621
Cu4 0.119 0.430 0.879
P1 0.149 0.541 0.130
P2 0.649 0.041 0.370
P3 0.351 0.541 0.630
P4 0.851 0.041 0.870
O1 0.347 0.534 0.022
O2 0.931 0.507 0.040
O3 0.668 0.855 0.263
O4 0.649 0.276 0.304
O5 0.149 0.776 0.196
O6 0.168 0.355 0.237
O7 0.431 0.007 0.460
O8 0.847 0.034 0.478
O9 0.153 0.534 0.522
O10 0.569 0.507 0.540
O11 0.832 0.855 0.763
O12 0.851 0.276 0.804
O13 0.351 0.776 0.696
O14 0.332 0.355 0.737
O15 0.069 0.007 0.960
O16 0.653 0.034 0.978

b:
Crystalline LiCuPO4 at its relaxed geometry. Source: Materials Project, functional PBE.

Summary:
The value obtained for the total magnetization is 11.999 μB/cell. As for the space-group type: P6_422 (181).

abc: 10.547 10.547 12.356
angles: 90.00 90.00 120.00
Fractional positions:
Li1 0.000 0.500 0.009
Li2 0.000 0.500 0.657
Li3 0.000 0.500 0.333
Li4 0.000 0.000 0.167
Li5 0.000 0.000 0.500
Li6 0.000 0.000 0.833
Li7 0.500 0.500 0.343
Li8 0.500 0.500 0.667
Li9 0.500 0.500 0.991
Li10 0.500 0.000 0.324
Li11 0.500 0.000 0.000
Li12 0.500 0.000 0.676
Cu1 0.000 0.744 0.833
Cu2 0.000 0.256 0.833
Cu3 0.248 0.752 0.167
Cu4 0.248 0.496 0.500
Cu5 0.504 0.752 0.833
Cu6 0.256 0.256 0.167
Cu7 0.256 0.000 0.500
Cu8 0.744 0.744 0.167
Cu9 0.496 0.248 0.833
Cu10 0.752 0.504 0.500
Cu11 0.752 0.248 0.167
Cu12 0.744 0.000 0.500
P1 0.000 0.756 0.333
P2 0.248 0.752 0.667
P3 0.000 0.244 0.333
P4 0.248 0.497 0.000
P5 0.244 0.244 0.667
P6 0.503 0.752 0.333
P7 0.244 0.000 0.000
P8 0.497 0.248 0.333
P9 0.756 0.756 0.667
P10 0.752 0.503 0.000
P11 0.752 0.248 0.667
P12 0.756 0.000 0.000
O1 0.072 0.881 0.418
O2 0.119 0.928 0.915
O3 0.102 0.698 0.728
O4 0.107 0.715 0.279
O5 0.285 0.893 0.054
O6 0.302 0.898 0.606
O7 0.205 0.619 0.592
O8 0.102 0.404 0.939
O9 0.205 0.586 0.074
O10 0.107 0.392 0.387
O11 0.072 0.191 0.249
O12 0.381 0.795 0.741
O13 0.414 0.795 0.259
O14 0.119 0.191 0.751
O15 0.285 0.392 0.613
O16 0.381 0.586 0.926
O17 0.302 0.404 0.061
O18 0.414 0.619 0.408
O19 0.191 0.119 0.582
O20 0.191 0.072 0.085
O21 0.596 0.898 0.394
O22 0.608 0.893 0.946
O23 0.608 0.715 0.721
O24 0.404 0.302 0.272
O25 0.596 0.698 0.272
O26 0.392 0.285 0.721
O27 0.392 0.107 0.946
O28 0.404 0.102 0.394
O29 0.809 0.928 0.085
O30 0.809 0.881 0.582
O31 0.586 0.381 0.408
O32 0.698 0.596 0.061
O33 0.619 0.414 0.926
O34 0.715 0.608 0.613
O35 0.881 0.809 0.751
O36 0.586 0.205 0.259
O37 0.619 0.205 0.741
O38 0.928 0.809 0.249
O39 0.893 0.608 0.387
O40 0.795 0.414 0.074
O41 0.898 0.596 0.939
O42 0.795 0.381 0.592
O43 0.698 0.102 0.606
O44 0.715 0.107 0.054
O45 0.893 0.285 0.279
O46 0.898 0.302 0.728
O47 0.881 0.072 0.915
O48 0.928 0.119 0.418

Short version: b is the least stable of them.

a:
Crystalline Mg5Si9 at its relaxed geometry. Source: Materials Project, functional PBE.

Summary:
The value obtained for the total magnetization is 0.002 μB/cell. As for the space-group type: P1 (1).

abc: 13.584 6.861 6.053
angles: 73.17 101.60 104.77
Fractional positions:
Mg1 0.690 0.218 0.410
Mg2 0.406 0.596 0.763
Mg3 0.538 0.368 0.622
Mg4 0.401 0.668 0.239
Mg5 0.606 0.966 0.961
Mg6 0.452 0.136 0.204
Mg7 0.124 0.464 0.541
Mg8 0.926 0.646 0.173
Mg9 0.086 0.983 0.494
Mg10 0.759 0.743 0.402
Si1 0.134 0.818 0.150
Si2 0.886 0.431 0.597
Si3 0.330 0.246 0.444
Si4 0.686 0.667 0.843
Si5 0.255 0.137 0.803
Si6 0.822 0.932 0.948
Si7 0.212 0.732 0.848
Si8 0.828 0.173 0.177
Si9 0.244 0.370 0.032
Si10 0.575 0.516 0.137
Si11 0.924 0.092 0.642
Si12 0.076 0.136 0.970
Si13 0.283 0.864 0.450
Si14 0.744 0.365 0.815
Si15 0.021 0.614 0.835
Si16 0.011 0.313 0.175
Si17 0.574 0.823 0.505
Si18 0.404 0.984 0.821

b:
Crystalline Mg5Si9 at its relaxed geometry. Source: Materials Project, functional PBE.

Summary:
The value obtained for the total magnetization is 0.005 μB/cell. As for the space-group type: P1 (1).

abc: 6.872 7.635 10.500
angles: 94.37 89.69 113.04
Fractional positions:
Mg1 0.545 0.581 0.738
Mg2 0.684 0.701 0.433
Mg3 0.561 0.212 0.560
Mg4 0.246 0.741 0.348
Mg5 0.990 0.621 0.642
Mg6 0.208 0.391 0.495
Mg7 0.580 0.751 0.092
Mg8 0.398 0.313 0.965
Mg9 0.198 0.885 0.078
Mg10 0.522 0.965 0.862
Si1 0.133 0.456 0.117
Si2 0.852 0.589 0.937
Si3 0.301 0.133 0.326
Si4 0.782 0.954 0.652
Si5 0.660 0.093 0.319
Si6 0.218 0.053 0.751
Si7 0.809 0.525 0.179
Si8 0.131 0.336 0.749
Si9 0.933 0.943 0.259
Si10 0.103 0.976 0.524
Si11 0.899 0.892 0.862
Si12 0.931 0.102 0.056
Si13 0.415 0.456 0.251
Si14 0.776 0.318 0.789
Si15 0.619 0.168 0.107
Si16 0.232 0.598 0.916
Si17 0.414 0.817 0.595
Si18 0.859 0.430 0.396

Short version: b is the least stable of them.

a:
Crystalline HfMg6CuO8 at its relaxed geometry. Source: Materials Project, functional PBE.

Summary:
The value obtained for the total magnetization is 0.762 μB/cell. As for the space-group type: P4/mmm (123).

abc: 8.963 4.287 4.287
angles: 90.00 90.00 90.00
Fractional positions:
Hf1 0.000 0.500 0.500
Mg1 0.500 0.000 0.000
Mg2 0.500 0.500 0.500
Mg3 0.260 0.000 0.500
Mg4 0.740 0.000 0.500
Mg5 0.260 0.500 0.000
Mg6 0.740 0.500 0.000
Cu1 0.000 0.000 0.000
O1 0.271 0.000 0.000
O2 0.729 0.000 0.000
O3 0.250 0.500 0.500
O4 0.750 0.500 0.500
O5 0.000 0.000 0.500
O6 0.500 0.000 0.500
O7 0.000 0.500 0.000
O8 0.500 0.500 0.000

b:
Crystalline HfMg6CuO8 at its relaxed geometry. Source: Materials Project, functional PBE.

Summary:
The value obtained for the total magnetization is 0.000 μB/cell. As for the space-group type: P4/mmm (123).

abc: 9.093 4.308 4.308
angles: 90.00 90.00 90.00
Fractional positions:
Hf1 0.500 0.000 0.000
Mg1 0.000 0.500 0.500
Mg2 0.500 0.500 0.500
Mg3 0.228 0.000 0.500
Mg4 0.772 0.000 0.500
Mg5 0.228 0.500 0.000
Mg6 0.772 0.500 0.000
Cu1 0.000 0.000 0.000
O1 0.273 0.000 0.000
O2 0.727 0.000 0.000
O3 0.248 0.500 0.500
O4 0.752 0.500 0.500
O5 0.000 0.000 0.500
O6 0.500 0.000 0.500
O7 0.000 0.500 0.000
O8 0.500 0.500 0.000

Short version: b is the least stable of them.